Computed, not measured: a geometry-optimized Tl4S3 structure at the r²SCAN level of DFT.

abc: 7.9434 13.0919 8.0360
angles: 90.00 103.43 90.00
With the nearest neighbours (Å) after each atom.
Fractional coordinates of all 28 atoms:
Tl1 0.0480 0.0020 0.2794  3 S 2.94-3.28
Tl2 0.0480 0.4980 0.7794  3 S 2.94-3.28
Tl3 0.1792 0.7304 0.5420  4 S 2.51-2.60
Tl4 0.1792 0.7696 0.0420  4 S 2.51-2.60
Tl5 0.3479 0.1943 0.0819  5 S 3.01-3.26
Tl6 0.3479 0.3057 0.5819  5 S 3.01-3.26
Tl7 0.3952 0.0501 0.7154  4 S 2.89-3.23
Tl8 0.3952 0.4499 0.2154  4 S 2.89-3.23
Tl9 0.6048 0.5501 0.7846  4 S 2.89-3.23
Tl10 0.6048 0.9499 0.2846  4 S 2.89-3.23
Tl11 0.6521 0.6943 0.4181  5 S 3.01-3.26
Tl12 0.6521 0.8057 0.9181  5 S 3.01-3.26
Tl13 0.8208 0.2304 0.9580  4 S 2.51-2.60
Tl14 0.8208 0.2696 0.4580  4 S 2.51-2.60
Tl15 0.9520 0.5020 0.2206  3 S 2.94-3.28
Tl16 0.9520 0.9980 0.7206  3 S 2.94-3.28
S1 0.0291 0.2438 0.7556  2 Tl 2.58-2.60
S2 0.0291 0.2562 0.2556  2 Tl 2.58-2.60
S3 0.2642 0.5414 0.5366  1 Tl 2.57
S4 0.2642 0.9586 0.0366  1 Tl 2.57
S5 0.4289 0.6487 0.0693  1 Tl 2.51
S6 0.4289 0.8513 0.5693  1 Tl 2.51
S7 0.5711 0.1487 0.4307  1 Tl 2.51
S8 0.5711 0.3513 0.9307  1 Tl 2.51
S9 0.7358 0.0414 0.9634  1 Tl 2.57
S10 0.7358 0.4586 0.4634  1 Tl 2.57
S11 0.9709 0.7438 0.7444  2 Tl 2.58-2.60
S12 0.9709 0.7562 0.2444  2 Tl 2.58-2.60

Values from the calculation:
The formation energy comes out at -0.3670 eV per atom. Its volume is 29.03 A^3/atom. The calculation puts the total energy at -34.198 eV/atom. For the total magnetization, the calculation gives 0.000 μB per formula unit. The calculation puts the density at 7.47 g/cm³.

---

Computed, not measured: a geometry-optimized YAlZn structure at the r²SCAN level of DFT.

abc: 4.4442 4.4442 7.2384
angles: 90.00 90.00 120.00
With the nearest neighbours (Å) after each atom.
Fractional coordinates of all 6 atoms:
Y1 0.0000 0.0000 0.0000  6 Al 3.14, 6 Zn 3.14
Y2 0.0000 0.0000 0.5000  6 Al 3.14, 6 Zn 3.14
Al1 0.3333 0.6667 0.2500  3 Zn 2.57
Al2 0.6667 0.3333 0.7500  3 Zn 2.57
Zn1 0.3333 0.6667 0.7500  3 Al 2.57
Zn2 0.6667 0.3333 0.2500  3 Al 2.57

Values from the calculation:
The formation energy comes out at -0.5153 eV per atom. Its volume is 20.63 A^3/atom. The calculation puts the total energy at -12.501 eV/atom. For the total magnetization, the calculation gives 0.001 μB per formula unit. The calculation puts the density at 4.86 g/cm³.

---

Computed, not measured: a geometry-optimized BeTe structure at the r²SCAN level of DFT.

abc: 4.0043 4.0043 4.0043
angles: 60.00 60.00 60.00
With the nearest neighbours (Å) after each atom.
Fractional coordinates of all 2 atoms:
Be1 0.0000 0.0000 0.0000  4 Te 2.45
Te1 0.7500 0.7500 0.7500  4 Be 2.45

Values from the calculation:
The formation energy comes out at -0.4677 eV per atom. Its volume is 22.70 A^3/atom. The calculation puts the total energy at -15.345 eV/atom. For the total magnetization, the calculation gives 0.000 μB per formula unit. The calculation puts the density at 5.00 g/cm³.

---

Computed, not measured: a geometry-optimized Tb6RuBr10 structure at the r²SCAN level of DFT.

abc: 7.3604 9.1178 9.1460
angles: 108.27 96.94 106.03
With the nearest neighbours (Å) after each atom.
Fractional coordinates of all 17 atoms:
Tb1 0.0284 0.2033 0.4080  1 Ru 2.65, 3 Br 2.85-2.92
Tb2 0.1228 0.5454 0.2550  1 Ru 2.62, 3 Br 2.92-2.93
Tb3 0.3712 0.6412 0.6855  1 Ru 2.75, 5 Br 2.80-3.05
Tb4 0.6288 0.3588 0.3145  1 Ru 2.75, 5 Br 2.80-3.05
Tb5 0.8772 0.4546 0.7450  1 Ru 2.62, 3 Br 2.92-2.93
Tb6 0.9716 0.7967 0.5920  1 Ru 2.65, 3 Br 2.85-2.92
Ru1 0.0000 0.5000 0.5000  6 Tb 2.62-2.75
Br1 0.0894 0.8713 0.3244  3 Tb 2.90-3.05
Br2 0.2028 0.2367 0.1451  3 Tb 2.92-3.05
Br3 0.2576 0.5859 0.9612  3 Tb 2.90-3.07
Br4 0.3584 0.9608 0.7764  2 Tb 2.80-2.85
Br5 0.4524 0.3193 0.5858  4 Tb 3.01-3.06
Br6 0.5476 0.6807 0.4142  4 Tb 3.01-3.06
Br7 0.6416 0.0392 0.2236  2 Tb 2.80-2.85
Br8 0.7424 0.4141 0.0388  3 Tb 2.90-3.07
Br9 0.7972 0.7633 0.8549  3 Tb 2.92-3.05
Br10 0.9106 0.1287 0.6756  3 Tb 2.90-3.05

Values from the calculation:
The formation energy comes out at -1.8171 eV per atom. Its volume is 32.09 A^3/atom. The calculation puts the total energy at -22.133 eV/atom. For the total magnetization, the calculation gives 2.011 μB per formula unit. The calculation puts the density at 5.64 g/cm³.

---

Computed, not measured: a geometry-optimized AlAg9Se6 structure at the r²SCAN level of DFT.

abc: 11.1768 11.1768 11.1768
angles: 90.00 90.00 90.00
With the nearest neighbours (Å) after each atom.
Fractional coordinates of all 64 atoms:
Al1 0.0088 0.0088 0.0088  4 Se 2.36-2.38
Al2 0.4912 0.9912 0.5088  4 Se 2.36-2.38
Al3 0.5088 0.4912 0.9912  4 Se 2.36-2.38
Al4 0.9912 0.5088 0.4912  4 Se 2.36-2.38
Ag1 0.0318 0.7726 0.2680  3 Se 2.65-2.82
Ag2 0.0392 0.1332 0.6691  3 Se 2.70-2.80, 2 Ag 2.92-3.00
Ag3 0.0706 0.8667 0.6765  3 Se 2.59-2.75
Ag4 0.1333 0.1765 0.4294  3 Se 2.59-2.75
Ag5 0.1332 0.6691 0.0392  3 Se 2.70-2.80, 2 Ag 2.92-3.00
Ag6 0.1691 0.4608 0.8668  3 Se 2.70-2.80, 2 Ag 2.92-3.00
Ag7 0.1765 0.4294 0.1333  3 Se 2.59-2.75
Ag8 0.2274 0.7680 0.4682  3 Se 2.65-2.82
Ag9 0.2320 0.9682 0.2726  3 Se 2.65-2.82
Ag10 0.2680 0.0318 0.7726  3 Se 2.65-2.82
Ag11 0.2726 0.2320 0.9682  3 Se 2.65-2.82
Ag12 0.3235 0.5706 0.6333  3 Se 2.59-2.75
Ag13 0.3309 0.5392 0.3668  3 Se 2.70-2.80, 2 Ag 2.92-3.00
Ag14 0.3668 0.3309 0.5392  3 Se 2.70-2.80, 2 Ag 2.92-3.00
Ag15 0.3667 0.8235 0.9294  3 Se 2.59-2.75
Ag16 0.4294 0.1333 0.1765  3 Se 2.59-2.75
Ag17 0.4608 0.8668 0.1691  3 Se 2.70-2.80, 2 Ag 2.92-3.00
Ag18 0.4682 0.2274 0.7680  3 Se 2.65-2.82
Ag19 0.5318 0.7274 0.7320  3 Se 2.65-2.82
Ag20 0.5392 0.3668 0.3309  3 Se 2.70-2.80, 2 Ag 2.92-3.00
Ag21 0.5706 0.6333 0.3235  3 Se 2.59-2.75
Ag22 0.6333 0.3235 0.5706  3 Se 2.59-2.75
Ag23 0.6332 0.8309 0.9608  3 Se 2.70-2.80, 2 Ag 2.92-3.00
Ag24 0.6691 0.0392 0.1332  3 Se 2.70-2.80, 2 Ag 2.92-3.00
Ag25 0.6765 0.0706 0.8667  3 Se 2.59-2.75
Ag26 0.7274 0.7320 0.5318  3 Se 2.65-2.82
Ag27 0.7320 0.5318 0.7274  3 Se 2.65-2.82
Ag28 0.7680 0.4682 0.2274  3 Se 2.65-2.82
Ag29 0.7726 0.2680 0.0318  3 Se 2.65-2.82
Ag30 0.8235 0.9294 0.3667  3 Se 2.59-2.75
Ag31 0.8309 0.9608 0.6332  3 Se 2.70-2.80, 2 Ag 2.92-3.00
Ag32 0.8668 0.1691 0.4608  3 Se 2.70-2.80, 2 Ag 2.92-3.00
Ag33 0.8667 0.6765 0.0706  3 Se 2.59-2.75
Ag34 0.9294 0.3667 0.8235  3 Se 2.59-2.75
Ag35 0.9608 0.6332 0.8309  3 Se 2.70-2.80, 2 Ag 2.92-3.00
Ag36 0.9682 0.2726 0.2320  3 Se 2.65-2.82
Se1 0.0244 0.9756 0.4756  6 Ag 2.61-2.80
Se2 0.0986 0.6266 0.6328  1 Al 2.38, 1 Ag 2.59
Se3 0.1266 0.8672 0.9014  1 Al 2.38, 1 Ag 2.59
Se4 0.1306 0.1306 0.1306  1 Al 2.36
Se5 0.1328 0.4014 0.3734  1 Al 2.38, 1 Ag 2.59
Se6 0.2357 0.2643 0.7357  6 Ag 2.65-2.74
Se7 0.2643 0.7357 0.2357  6 Ag 2.65-2.74
Se8 0.3672 0.5986 0.8734  1 Al 2.38, 1 Ag 2.59
Se9 0.3694 0.8694 0.6306  1 Al 2.36
Se10 0.3734 0.1328 0.4014  1 Al 2.38, 1 Ag 2.59
Se11 0.4014 0.3734 0.1328  1 Al 2.38, 1 Ag 2.59
Se12 0.4756 0.0244 0.9756  6 Ag 2.61-2.80
Se13 0.5244 0.5244 0.5244  6 Ag 2.61-2.80
Se14 0.5986 0.8734 0.3672  1 Al 2.38, 1 Ag 2.59
Se15 0.6266 0.6328 0.0986  1 Al 2.38, 1 Ag 2.59
Se16 0.6306 0.3694 0.8694  1 Al 2.36
Se17 0.6328 0.0986 0.6266  1 Al 2.38, 1 Ag 2.59
Se18 0.7357 0.2357 0.2643  6 Ag 2.65-2.74
Se19 0.7643 0.7643 0.7643  6 Ag 2.65-2.74
Se20 0.8672 0.9014 0.1266  1 Al 2.38, 1 Ag 2.59
Se21 0.8694 0.6306 0.3694  1 Al 2.36
Se22 0.8734 0.3672 0.5986  1 Al 2.38, 1 Ag 2.59
Se23 0.9014 0.1266 0.8672  1 Al 2.38, 1 Ag 2.59
Se24 0.9756 0.4756 0.0244  6 Ag 2.61-2.80

Values from the calculation:
The formation energy comes out at -0.2917 eV per atom. Its volume is 21.82 A^3/atom. The calculation puts the total energy at -18.092 eV/atom. For the total magnetization, the calculation gives 0.000 μB per formula unit. The calculation puts the density at 7.00 g/cm³.

---

Computed, not measured: a geometry-optimized Mn9Zn3O16 structure at the r²SCAN level of DFT.

abc: 5.7387 5.7387 9.2991
angles: 90.00 90.00 90.00
With the nearest neighbours (Å) after each atom.
Fractional coordinates of all 28 atoms:
Mn1 0.0000 0.0000 0.0000  4 O 2.02
Mn2 0.0000 0.2502 0.3763  4 O 1.93
Mn3 0.0000 0.7498 0.3763  4 O 1.93
Mn4 0.2502 0.0000 0.6237  4 O 1.93
Mn5 0.2512 0.5000 0.1272  4 O 1.93
Mn6 0.5000 0.2512 0.8728  4 O 1.93
Mn7 0.5000 0.7488 0.8728  4 O 1.93
Mn8 0.7488 0.5000 0.1272  4 O 1.93
Mn9 0.7498 0.0000 0.6237  4 O 1.93
Zn1 0.0000 0.5000 0.7492  4 O 1.98
Zn2 0.5000 0.0000 0.2508  4 O 1.98
Zn3 0.5000 0.5000 0.5000  4 O 1.98
O1 0.0000 0.2254 0.6201  2 Mn 1.93, 1 Zn 1.98
O2 0.0000 0.2767 0.1336  3 Mn 1.93-2.02
O3 0.0000 0.7233 0.1336  3 Mn 1.93-2.02
O4 0.0000 0.7746 0.6201  2 Mn 1.93, 1 Zn 1.98
O5 0.2254 0.0000 0.3799  2 Mn 1.93, 1 Zn 1.98
O6 0.2255 0.5000 0.3718  2 Mn 1.93, 1 Zn 1.98
O7 0.2730 0.5000 0.8794  2 Mn 1.93, 1 Zn 1.98
O8 0.2767 0.0000 0.8664  3 Mn 1.93-2.02
O9 0.5000 0.2255 0.6282  2 Mn 1.93, 1 Zn 1.98
O10 0.5000 0.2730 0.1206  2 Mn 1.93, 1 Zn 1.98
O11 0.5000 0.7270 0.1206  2 Mn 1.93, 1 Zn 1.98
O12 0.5000 0.7745 0.6282  2 Mn 1.93, 1 Zn 1.98
O13 0.7233 0.0000 0.8664  3 Mn 1.93-2.02
O14 0.7270 0.5000 0.8794  2 Mn 1.93, 1 Zn 1.98
O15 0.7745 0.5000 0.3718  2 Mn 1.93, 1 Zn 1.98
O16 0.7746 0.0000 0.3799  2 Mn 1.93, 1 Zn 1.98

Values from the calculation:
The formation energy comes out at -2.0453 eV per atom. Its volume is 10.94 A^3/atom. The calculation puts the total energy at -11.133 eV/atom. For the total magnetization, the calculation gives 37.000 μB per formula unit. The calculation puts the density at 5.13 g/cm³.

---

Computed, not measured: a geometry-optimized Cs3Sm7Te12 structure at the r²SCAN level of DFT.

abc: 4.5315 13.8824 28.6537
angles: 90.00 90.00 90.00
With the nearest neighbours (Å) after each atom.
Fractional coordinates of all 44 atoms:
Cs1 0.0000 0.0298 0.0000  7 Te 3.93-4.00
Cs2 0.0000 0.3080 0.6553  5 Te 3.74-3.94
Cs3 0.0000 0.4614 0.2621  7 Te 3.79-4.05
Cs4 0.5000 0.5386 0.7621  7 Te 3.79-4.05
Cs5 0.5000 0.6920 0.1553  5 Te 3.74-3.94
Cs6 0.5000 0.9702 0.5000  7 Te 3.93-4.00
Sm1 0.0000 0.1601 0.3408  6 Te 3.08-3.23
Sm2 0.0000 0.2524 0.1284  6 Te 3.11-3.19
Sm3 0.0000 0.3380 0.9155  6 Te 3.08-3.24
Sm4 0.0000 0.5336 0.5429  6 Te 3.11-3.26
Sm5 0.0000 0.6698 0.9463  6 Te 3.09-3.28
Sm6 0.0000 0.8323 0.3102  6 Te 3.09-3.25
Sm7 0.0000 0.9648 0.7113  6 Te 3.08-3.29
Sm8 0.5000 0.0352 0.2113  6 Te 3.08-3.29
Sm9 0.5000 0.1677 0.8102  6 Te 3.09-3.25
Sm10 0.5000 0.3302 0.4463  6 Te 3.09-3.28
Sm11 0.5000 0.4664 0.0429  6 Te 3.11-3.26
Sm12 0.5000 0.6620 0.4155  6 Te 3.08-3.24
Sm13 0.5000 0.7476 0.6284  6 Te 3.11-3.19
Sm14 0.5000 0.8399 0.8408  6 Te 3.08-3.23
Te1 0.0000 0.0028 0.8247  5 Sm 3.23-3.29
Te2 0.0000 0.1778 0.4497  3 Sm 3.10-3.13
Te3 0.0000 0.1868 0.2321  4 Sm 3.11-3.15
Te4 0.0000 0.3135 0.0240  4 Sm 3.11-3.15
Te5 0.0000 0.3224 0.8045  3 Sm 3.13-3.19
Te6 0.0000 0.4979 0.4305  5 Sm 3.24-3.28
Te7 0.0000 0.5913 0.6478  3 Sm 3.11-3.19
Te8 0.0000 0.6218 0.0520  3 Sm 3.10-3.14
Te9 0.0000 0.6893 0.8389  3 Sm 3.08-3.09
Te10 0.0000 0.8128 0.4176  3 Sm 3.08-3.09
Te11 0.0000 0.8809 0.2042  3 Sm 3.11-3.12
Te12 0.0000 0.8999 0.6087  3 Sm 3.08-3.15
Te13 0.5000 0.1001 0.1087  3 Sm 3.08-3.15
Te14 0.5000 0.1191 0.7042  3 Sm 3.11-3.12
Te15 0.5000 0.1872 0.9176  3 Sm 3.08-3.09
Te16 0.5000 0.3107 0.3389  3 Sm 3.08-3.09
Te17 0.5000 0.3782 0.5520  3 Sm 3.10-3.14
Te18 0.5000 0.4087 0.1478  3 Sm 3.11-3.19
Te19 0.5000 0.5021 0.9305  5 Sm 3.24-3.28
Te20 0.5000 0.6776 0.3045  3 Sm 3.13-3.19
Te21 0.5000 0.6865 0.5240  4 Sm 3.11-3.15
Te22 0.5000 0.8132 0.7321  4 Sm 3.11-3.15
Te23 0.5000 0.8222 0.9497  3 Sm 3.10-3.13
Te24 0.5000 0.9972 0.3247  5 Sm 3.23-3.29

Values from the calculation:
The formation energy comes out at -1.6974 eV per atom. Its volume is 40.97 A^3/atom. The calculation puts the total energy at -28.446 eV/atom. For the total magnetization, the calculation gives 0.000 μB per formula unit. The calculation puts the density at 5.49 g/cm³.

---

Computed, not measured: a geometry-optimized Dy5S7 structure at the r²SCAN level of DFT.

abc: 6.6801 6.6801 11.5811
angles: 104.05 104.05 33.02
With the nearest neighbours (Å) after each atom.
Fractional coordinates of all 12 atoms:
Dy1 0.0000 0.0000 0.0000  6 S 2.67-2.74
Dy2 0.1117 0.1117 0.4214  6 S 2.67-2.81
Dy3 0.3004 0.3004 0.1880  7 S 2.74-2.94
Dy4 0.6996 0.6996 0.8120  7 S 2.74-2.94
Dy5 0.8883 0.8883 0.5786  6 S 2.67-2.81
S1 0.0412 0.0412 0.7850  4 Dy 2.67-2.74
S2 0.2592 0.2592 0.6474  5 Dy 2.76-2.93
S3 0.3410 0.3410 0.9488  5 Dy 2.74-2.94
S4 0.5000 0.5000 0.5000  4 Dy 2.67
S5 0.6590 0.6590 0.0512  5 Dy 2.74-2.94
S6 0.7408 0.7408 0.3526  5 Dy 2.76-2.93
S7 0.9588 0.9588 0.2150  4 Dy 2.67-2.74

Values from the calculation:
The formation energy comes out at -2.3793 eV per atom. Its volume is 22.71 A^3/atom. The calculation puts the total energy at -20.392 eV/atom. For the total magnetization, the calculation gives 0.000 μB per formula unit. The calculation puts the density at 6.32 g/cm³.